Record 1
Entry from Materials Project: a relaxed structure of CaPmRh2 (meta-GGA r2SCAN). Values from VASP.

Cell and atoms, written as Quantum ESPRESSO input:
```
&SYSTEM
  ibrav = 0, nat = 4, ntyp = 3
/
ATOMIC_SPECIES
Ca 40.08 Ca.upf
Pm 145.00 Pm.upf
Rh 102.91 Rh.upf
ATOMIC_POSITIONS crystal
Ca 0.0000 0.0000 0.0000
Pm 0.5000 0.5000 0.5000
Rh 0.2500 0.2500 0.2500
Rh 0.7500 0.7500 0.7500
CELL_PARAMETERS angstrom
0.0000 3.4443 3.4443
3.4443 0.0000 3.4443
3.4443 3.4443 0.0000
```

## Properties
Energy of formation (eV/atom): -0.56

Record 2
Entry from Materials Project: a relaxed structure of CaPmZn2 (meta-GGA r2SCAN). Values from VASP.

Cell and atoms, written as Quantum ESPRESSO input:
```
&SYSTEM
  ibrav = 0, nat = 4, ntyp = 3
/
ATOMIC_SPECIES
Ca 40.08 Ca.upf
Pm 145.00 Pm.upf
Zn 65.41 Zn.upf
ATOMIC_POSITIONS crystal
Ca 0.0000 0.0000 0.0000
Pm 0.5000 0.5000 0.5000
Zn 0.2500 0.2500 0.2500
Zn 0.7500 0.7500 0.7500
CELL_PARAMETERS angstrom
0.0000 3.6414 3.6414
3.6414 0.0000 3.6414
3.6414 3.6414 0.0000
```

## Properties
Energy of formation (eV/atom): -0.31

Record 3
Entry from Materials Project: a relaxed structure of CaPrZn2 (meta-GGA r2SCAN). Values from VASP.

Cell and atoms, written as Quantum ESPRESSO input:
```
&SYSTEM
  ibrav = 0, nat = 4, ntyp = 3
/
ATOMIC_SPECIES
Ca 40.08 Ca.upf
Pr 140.91 Pr.upf
Zn 65.41 Zn.upf
ATOMIC_POSITIONS crystal
Ca 0.0000 0.0000 0.0000
Pr 0.5000 0.5000 0.5000
Zn 0.2500 0.2500 0.2500
Zn 0.7500 0.7500 0.7500
CELL_PARAMETERS angstrom
0.0000 3.6762 3.6762
3.6762 0.0000 3.6762
3.6762 3.6762 0.0000
```

## Properties
Energy of formation (eV/atom): -0.30

Record 4
Entry from Materials Project: a relaxed structure of Ca5Pt2 (meta-GGA r2SCAN). Values from VASP.

Cell and atoms, written as Quantum ESPRESSO input:
```
&SYSTEM
  ibrav = 0, nat = 14, ntyp = 2
/
ATOMIC_SPECIES
Ca 40.08 Ca.upf
Pt 195.08 Pt.upf
ATOMIC_POSITIONS crystal
Ca 0.0727 0.9273 0.7500
Ca 0.1382 0.2963 0.3220
Ca 0.2963 0.1382 0.8220
Ca 0.3024 0.5196 0.0821
Ca 0.4804 0.6976 0.4179
Ca 0.5196 0.3024 0.5821
Ca 0.6976 0.4804 0.9179
Ca 0.7037 0.8618 0.1780
Ca 0.8618 0.7037 0.6780
Ca 0.9273 0.0727 0.2500
Pt 0.1026 0.6759 0.4165
Pt 0.3241 0.8974 0.0835
Pt 0.6759 0.1026 0.9165
Pt 0.8974 0.3241 0.5835
CELL_PARAMETERS angstrom
8.0743 -3.3322 0.0000
8.0743 3.3322 0.0000
-0.9858 0.0000 7.5818
```

## Properties
Energy of formation (eV/atom): -0.74

Record 5
Entry from Materials Project: a relaxed structure of CaPt5 (meta-GGA r2SCAN). Values from VASP.

Cell and atoms, written as Quantum ESPRESSO input:
```
&SYSTEM
  ibrav = 0, nat = 6, ntyp = 2
/
ATOMIC_SPECIES
Ca 40.08 Ca.upf
Pt 195.08 Pt.upf
ATOMIC_POSITIONS crystal
Ca 0.0000 0.0000 0.0000
Pt 0.0000 0.5000 0.5000
Pt 0.3333 0.6667 0.0000
Pt 0.5000 0.0000 0.5000
Pt 0.5000 0.5000 0.5000
Pt 0.6667 0.3333 0.0000
CELL_PARAMETERS angstrom
5.3557 0.0000 0.0000
-2.6778 4.6381 0.0000
0.0000 0.0000 4.3944
```

## Properties
Energy of formation (eV/atom): -0.60

Record 6
Entry from Materials Project: a relaxed structure of Ca2Sn5Pt3 (meta-GGA r2SCAN). Values from VASP.

Cell and atoms, written as Quantum ESPRESSO input:
```
&SYSTEM
  ibrav = 0, nat = 40, ntyp = 3
/
ATOMIC_SPECIES
Ca 40.08 Ca.upf
Sn 118.71 Sn.upf
Pt 195.08 Pt.upf
ATOMIC_POSITIONS crystal
Ca 0.2150 0.2500 0.2270
Ca 0.2484 0.2500 0.9227
Ca 0.2516 0.7500 0.4227
Ca 0.2850 0.7500 0.7270
Ca 0.7150 0.2500 0.2730
Ca 0.7484 0.2500 0.5773
Ca 0.7516 0.7500 0.0773
Ca 0.7850 0.7500 0.7730
Sn 0.0359 0.7500 0.5431
Sn 0.0394 0.2500 0.0434
Sn 0.0917 0.2500 0.3470
Sn 0.1202 0.2500 0.7978
Sn 0.2099 0.7500 0.1314
Sn 0.2901 0.2500 0.6314
Sn 0.3798 0.7500 0.2978
Sn 0.4083 0.7500 0.8470
Sn 0.4606 0.7500 0.5434
Sn 0.4641 0.2500 0.0431
Sn 0.5359 0.7500 0.9569
Sn 0.5394 0.2500 0.4566
Sn 0.5917 0.2500 0.1530
Sn 0.6202 0.2500 0.7022
Sn 0.7099 0.7500 0.3686
Sn 0.7901 0.2500 0.8686
Sn 0.8798 0.7500 0.2022
Sn 0.9083 0.7500 0.6530
Sn 0.9606 0.7500 0.9566
Sn 0.9641 0.2500 0.4569
Pt 0.9998 0.2500 0.6997
Pt 0.0002 0.7500 0.3003
Pt 0.0404 0.7500 0.8574
Pt 0.2446 0.2500 0.5279
Pt 0.2554 0.7500 0.0279
Pt 0.4596 0.2500 0.3574
Pt 0.4998 0.2500 0.8003
Pt 0.5002 0.7500 0.1997
Pt 0.5404 0.7500 0.6426
Pt 0.7446 0.2500 0.9721
Pt 0.7554 0.7500 0.4721
Pt 0.9596 0.2500 0.1426
CELL_PARAMETERS angstrom
7.3917 0.0000 0.0000
0.0000 4.4909 0.0000
0.0000 0.0000 26.5914
```

## Properties
Energy of formation (eV/atom): -0.78

Record 7
Entry from Materials Project: a relaxed structure of CaYPt2 (meta-GGA r2SCAN). Values from VASP.

Cell and atoms, written as Quantum ESPRESSO input:
```
&SYSTEM
  ibrav = 0, nat = 4, ntyp = 3
/
ATOMIC_SPECIES
Ca 40.08 Ca.upf
Y 88.91 Y.upf
Pt 195.08 Pt.upf
ATOMIC_POSITIONS crystal
Ca 0.0000 0.0000 0.0000
Y 0.5000 0.5000 0.5000
Pt 0.2500 0.2500 0.2500
Pt 0.7500 0.7500 0.7500
CELL_PARAMETERS angstrom
0.0000 3.4675 3.4675
3.4675 0.0000 3.4675
3.4675 3.4675 0.0000
```

## Properties
Energy of formation (eV/atom): -1.14

Record 8
Entry from Materials Project: a relaxed structure of Ca2Rh (meta-GGA r2SCAN). Values from VASP.

Cell and atoms, written as Quantum ESPRESSO input:
```
&SYSTEM
  ibrav = 0, nat = 3, ntyp = 2
/
ATOMIC_SPECIES
Ca 40.08 Ca.upf
Rh 102.91 Rh.upf
ATOMIC_POSITIONS crystal
Ca 0.2500 0.2500 0.2500
Ca 0.7500 0.7500 0.7500
Rh 0.0000 0.0000 0.0000
CELL_PARAMETERS angstrom
0.0000 3.4454 3.4454
3.4454 0.0000 3.4454
3.4454 3.4454 0.0000
```

## Properties
Energy of formation (eV/atom): -0.22

Record 9
Entry from Materials Project: a relaxed structure of CaSi2Rh2 (meta-GGA r2SCAN). Values from VASP.

Cell and atoms, written as Quantum ESPRESSO input:
```
&SYSTEM
  ibrav = 0, nat = 5, ntyp = 3
/
ATOMIC_SPECIES
Ca 40.08 Ca.upf
Si 28.09 Si.upf
Rh 102.91 Rh.upf
ATOMIC_POSITIONS crystal
Ca 0.0000 0.0000 0.0000
Si 0.3726 0.3726 0.0000
Si 0.6274 0.6274 0.0000
Rh 0.2500 0.7500 0.5000
Rh 0.7500 0.2500 0.5000
CELL_PARAMETERS angstrom
-2.0408 2.0408 4.9946
2.0408 -2.0408 4.9946
2.0408 2.0408 -4.9946
```

## Properties
Energy of formation (eV/atom): -1.04

Record 10
Entry from Materials Project: a relaxed structure of CaSmRh2 (meta-GGA r2SCAN). Values from VASP.

Cell and atoms, written as Quantum ESPRESSO input:
```
&SYSTEM
  ibrav = 0, nat = 4, ntyp = 3
/
ATOMIC_SPECIES
Ca 40.08 Ca.upf
Sm 150.36 Sm.upf
Rh 102.91 Rh.upf
ATOMIC_POSITIONS crystal
Ca 0.0000 0.0000 0.0000
Sm 0.5000 0.5000 0.5000
Rh 0.2500 0.2500 0.2500
Rh 0.7500 0.7500 0.7500
CELL_PARAMETERS angstrom
0.0000 3.4335 3.4335
3.4335 0.0000 3.4335
3.4335 3.4335 0.0000
```

## Properties
Energy of formation (eV/atom): -0.57

Record 11
Entry from Materials Project: a relaxed structure of CaSn2Rh (meta-GGA r2SCAN). Values from VASP.

Cell and atoms, written as Quantum ESPRESSO input:
```
&SYSTEM
  ibrav = 0, nat = 8, ntyp = 3
/
ATOMIC_SPECIES
Ca 40.08 Ca.upf
Sn 118.71 Sn.upf
Rh 102.91 Rh.upf
ATOMIC_POSITIONS crystal
Ca 0.0664 0.9336 0.7500
Ca 0.9336 0.0664 0.2500
Sn 0.3539 0.6461 0.5476
Sn 0.3539 0.6461 0.9524
Sn 0.6461 0.3539 0.0476
Sn 0.6461 0.3539 0.4524
Rh 0.2096 0.7904 0.2500
Rh 0.7904 0.2096 0.7500
CELL_PARAMETERS angstrom
2.1908 -5.4310 0.0000
2.1908 5.4310 0.0000
0.0000 0.0000 7.4999
```

## Properties
Energy of formation (eV/atom): -0.70

Record 12
Entry from Materials Project: a relaxed structure of CaTbRh2 (meta-GGA r2SCAN). Values from VASP.

Cell and atoms, written as Quantum ESPRESSO input:
```
&SYSTEM
  ibrav = 0, nat = 4, ntyp = 3
/
ATOMIC_SPECIES
Ca 40.08 Ca.upf
Tb 158.93 Tb.upf
Rh 102.91 Rh.upf
ATOMIC_POSITIONS crystal
Ca 0.0000 0.0000 0.0000
Tb 0.5000 0.5000 0.5000
Rh 0.2500 0.2500 0.2500
Rh 0.7500 0.7500 0.7500
CELL_PARAMETERS angstrom
0.0000 3.3998 3.3998
3.3998 0.0000 3.3998
3.3998 3.3998 0.0000
```

## Properties
Energy of formation (eV/atom): -0.63

Record 13
Entry from Materials Project: a relaxed structure of CaThRh2 (meta-GGA r2SCAN). Values from VASP.

Cell and atoms, written as Quantum ESPRESSO input:
```
&SYSTEM
  ibrav = 0, nat = 4, ntyp = 3
/
ATOMIC_SPECIES
Ca 40.08 Ca.upf
Th 232.04 Th.upf
Rh 102.91 Rh.upf
ATOMIC_POSITIONS crystal
Ca 0.0000 0.0000 0.0000
Th 0.5000 0.5000 0.5000
Rh 0.2500 0.2500 0.2500
Rh 0.7500 0.7500 0.7500
CELL_PARAMETERS angstrom
0.0000 3.4797 3.4797
3.4797 0.0000 3.4797
3.4797 3.4797 0.0000
```

## Properties
Energy of formation (eV/atom): -0.66

Record 14
Entry from Materials Project: a relaxed structure of CaTmRh2 (meta-GGA r2SCAN). Values from VASP.

Cell and atoms, written as Quantum ESPRESSO input:
```
&SYSTEM
  ibrav = 0, nat = 4, ntyp = 3
/
ATOMIC_SPECIES
Ca 40.08 Ca.upf
Tm 168.93 Tm.upf
Rh 102.91 Rh.upf
ATOMIC_POSITIONS crystal
Ca 0.0000 0.0000 0.0000
Tm 0.5000 0.5000 0.5000
Rh 0.2500 0.2500 0.2500
Rh 0.7500 0.7500 0.7500
CELL_PARAMETERS angstrom
0.0000 3.3656 3.3656
3.3656 0.0000 3.3656
3.3656 3.3656 0.0000
```

## Properties
Energy of formation (eV/atom): -0.68

Record 15
Entry from Materials Project: a relaxed structure of Ca2SiS4 (meta-GGA r2SCAN). Values from VASP.

Cell and atoms, written as Quantum ESPRESSO input:
```
&SYSTEM
  ibrav = 0, nat = 28, ntyp = 3
/
ATOMIC_SPECIES
Ca 40.08 Ca.upf
Si 28.09 Si.upf
S 32.06 S.upf
ATOMIC_POSITIONS crystal
Ca 0.0000 0.0000 0.0000
Ca 0.0000 0.5000 0.0000
Ca 0.2271 0.2500 0.4860
Ca 0.2729 0.7500 0.9860
Ca 0.5000 0.0000 0.5000
Ca 0.5000 0.5000 0.5000
Ca 0.7271 0.2500 0.0140
Ca 0.7729 0.7500 0.5140
Si 0.0936 0.7500 0.4072
Si 0.4064 0.2500 0.9072
Si 0.5936 0.7500 0.0928
Si 0.9064 0.2500 0.5928
S 0.0523 0.2500 0.7204
S 0.0934 0.7500 0.7468
S 0.1666 0.5436 0.2707
S 0.1666 0.9564 0.2707
S 0.3334 0.0436 0.7707
S 0.3334 0.4564 0.7707
S 0.4066 0.2500 0.2468
S 0.4477 0.7500 0.2204
S 0.5523 0.2500 0.7796
S 0.5934 0.7500 0.7532
S 0.6666 0.5436 0.2293
S 0.6666 0.9564 0.2293
S 0.8334 0.0436 0.7293
S 0.8334 0.4564 0.7293
S 0.9066 0.2500 0.2532
S 0.9477 0.7500 0.2796
CELL_PARAMETERS angstrom
13.6396 0.0000 0.0000
0.0000 8.1917 0.0000
0.0000 0.0000 6.2185
```

## Properties
Energy of formation (eV/atom): -1.75

Record 16
Entry from Materials Project: a relaxed structure of CaSm2S4 (meta-GGA r2SCAN). Values from VASP.

Cell and atoms, written as Quantum ESPRESSO input:
```
&SYSTEM
  ibrav = 0, nat = 14, ntyp = 3
/
ATOMIC_SPECIES
Ca 40.08 Ca.upf
Sm 150.36 Sm.upf
S 32.06 S.upf
ATOMIC_POSITIONS crystal
Ca 0.0000 0.0000 0.0000
Ca 0.7500 0.2500 0.5000
Sm 0.2463 0.6250 0.1213
Sm 0.3750 0.4963 0.6213
Sm 0.5037 0.1250 0.8787
Sm 0.8750 0.7537 0.3787
S 0.1279 0.2347 0.7481
S 0.1298 0.7366 0.7519
S 0.2634 0.0153 0.3931
S 0.4866 0.3798 0.2519
S 0.6202 0.8721 0.1069
S 0.6221 0.8702 0.6069
S 0.7653 0.5134 0.8931
S 0.9847 0.3779 0.2481
CELL_PARAMETERS angstrom
-4.2444 4.2444 4.2634
4.2444 -4.2444 4.2634
4.2444 4.2444 -4.2634
```

## Properties
Energy of formation (eV/atom): -2.38

Record 17
Entry from Materials Project: a relaxed structure of CaSm2S3 (meta-GGA r2SCAN). Values from VASP.

Cell and atoms, written as Quantum ESPRESSO input:
```
&SYSTEM
  ibrav = 0, nat = 6, ntyp = 3
/
ATOMIC_SPECIES
Ca 40.08 Ca.upf
Sm 150.36 Sm.upf
S 32.06 S.upf
ATOMIC_POSITIONS crystal
Ca 0.0000 0.0000 0.0000
Sm 0.3333 0.6667 0.6560
Sm 0.6667 0.3333 0.3440
S 0.0000 0.0000 0.5000
S 0.3333 0.6667 0.1659
S 0.6667 0.3333 0.8341
CELL_PARAMETERS angstrom
4.0152 0.0000 0.0000
-2.0076 3.4773 0.0000
0.0000 0.0000 9.8284
```

## Properties
Energy of formation (eV/atom): -2.34

Record 18
Entry from Materials Project: a relaxed structure of CaY2S4 (meta-GGA r2SCAN). Values from VASP.

Cell and atoms, written as Quantum ESPRESSO input:
```
&SYSTEM
  ibrav = 0, nat = 28, ntyp = 3
/
ATOMIC_SPECIES
Ca 40.08 Ca.upf
Y 88.91 Y.upf
S 32.06 S.upf
ATOMIC_POSITIONS crystal
Ca 0.1300 0.2500 0.0818
Ca 0.3700 0.7500 0.5818
Ca 0.6300 0.2500 0.4182
Ca 0.8700 0.7500 0.9182
Y 0.1080 0.7500 0.4165
Y 0.1462 0.7500 0.7969
Y 0.3538 0.2500 0.2969
Y 0.3920 0.2500 0.9165
Y 0.6080 0.7500 0.0835
Y 0.6462 0.7500 0.7031
Y 0.8538 0.2500 0.2031
Y 0.8920 0.2500 0.5835
S 0.0290 0.2500 0.8822
S 0.0334 0.7500 0.6173
S 0.2178 0.7500 0.2367
S 0.2436 0.2500 0.4744
S 0.2564 0.7500 0.9744
S 0.2822 0.2500 0.7367
S 0.4666 0.2500 0.1173
S 0.4710 0.7500 0.3822
S 0.5290 0.2500 0.6178
S 0.5334 0.7500 0.8827
S 0.7178 0.7500 0.2633
S 0.7436 0.2500 0.0256
S 0.7564 0.7500 0.5256
S 0.7822 0.2500 0.7633
S 0.9666 0.2500 0.3827
S 0.9710 0.7500 0.1178
CELL_PARAMETERS angstrom
12.9951 0.0000 0.0000
0.0000 3.8986 0.0000
0.0000 0.0000 13.1380
```

## Properties
Energy of formation (eV/atom): -2.41

Record 19
Entry from Materials Project: a relaxed structure of Ca16Sb11 (meta-GGA r2SCAN). Values from VASP.

Cell and atoms, written as Quantum ESPRESSO input:
```
&SYSTEM
  ibrav = 0, nat = 54, ntyp = 2
/
ATOMIC_SPECIES
Ca 40.08 Ca.upf
Sb 121.76 Sb.upf
ATOMIC_POSITIONS crystal
Ca 0.0000 0.5000 0.1347
Ca 0.0000 0.5000 0.7832
Ca 0.0696 0.7972 0.3176
Ca 0.0761 0.7904 0.7120
Ca 0.0891 0.2069 0.9987
Ca 0.1307 0.3693 0.5008
Ca 0.2028 0.0696 0.6824
Ca 0.2069 0.9109 0.0013
Ca 0.2096 0.0761 0.2880
Ca 0.2904 0.5761 0.7120
Ca 0.2931 0.4109 0.9987
Ca 0.2972 0.5696 0.3176
Ca 0.3693 0.8693 0.4992
Ca 0.4109 0.7069 0.0013
Ca 0.4239 0.2904 0.2880
Ca 0.4304 0.2972 0.6824
Ca 0.5000 0.0000 0.2168
Ca 0.5000 0.0000 0.8653
Ca 0.5696 0.7028 0.6824
Ca 0.5761 0.7096 0.2880
Ca 0.5891 0.2931 0.0013
Ca 0.6307 0.1307 0.4992
Ca 0.7028 0.4304 0.3176
Ca 0.7069 0.5891 0.9987
Ca 0.7096 0.4239 0.7120
Ca 0.7904 0.9239 0.2880
Ca 0.7931 0.0891 0.0013
Ca 0.7972 0.9304 0.6824
Ca 0.8693 0.6307 0.5008
Ca 0.9109 0.7931 0.9987
Ca 0.9239 0.2096 0.7120
Ca 0.9304 0.2028 0.3176
Sb 0.0000 0.0000 0.1517
Sb 0.0000 0.0000 0.5000
Sb 0.0000 0.0000 0.8483
Sb 0.1264 0.6264 0.5148
Sb 0.1446 0.6446 0.9631
Sb 0.1630 0.3370 0.2365
Sb 0.1806 0.3194 0.7612
Sb 0.3194 0.8194 0.2388
Sb 0.3370 0.8370 0.7635
Sb 0.3554 0.1446 0.0369
Sb 0.3736 0.1264 0.4852
Sb 0.5000 0.5000 0.1517
Sb 0.5000 0.5000 0.5000
Sb 0.5000 0.5000 0.8483
Sb 0.6264 0.8736 0.4852
Sb 0.6446 0.8554 0.0369
Sb 0.6630 0.1630 0.7635
Sb 0.6806 0.1806 0.2388
Sb 0.8194 0.6806 0.7612
Sb 0.8370 0.6630 0.2365
Sb 0.8554 0.3554 0.9631
Sb 0.8736 0.3736 0.5148
CELL_PARAMETERS angstrom
12.2685 0.0000 0.0000
0.0000 12.2685 0.0000
0.0000 0.0000 11.3680
```

## Properties
Energy of formation (eV/atom): -1.20

Record 20
Entry from Materials Project: a relaxed structure of Ca5Sb3 (meta-GGA r2SCAN). Values from VASP.

Cell and atoms, written as Quantum ESPRESSO input:
```
&SYSTEM
  ibrav = 0, nat = 16, ntyp = 2
/
ATOMIC_SPECIES
Ca 40.08 Ca.upf
Sb 121.76 Sb.upf
ATOMIC_POSITIONS crystal
Ca 0.0000 0.2519 0.2500
Ca 0.0000 0.7481 0.7500
Ca 0.2519 0.0000 0.2500
Ca 0.2519 0.2519 0.7500
Ca 0.3333 0.6667 0.0000
Ca 0.3333 0.6667 0.5000
Ca 0.6667 0.3333 0.0000
Ca 0.6667 0.3333 0.5000
Ca 0.7481 0.0000 0.7500
Ca 0.7481 0.7481 0.2500
Sb 0.0000 0.3888 0.7500
Sb 0.0000 0.6112 0.2500
Sb 0.3888 0.0000 0.7500
Sb 0.3888 0.3888 0.2500
Sb 0.6112 0.0000 0.2500
Sb 0.6112 0.6112 0.7500
CELL_PARAMETERS angstrom
9.0591 0.0000 0.0000
-4.5296 7.8454 0.0000
0.0000 0.0000 7.0051
```

## Properties
Energy relative to the lowest polymorph listed for this composition (eV/atom): 0.0116
Energy of formation (eV/atom): -1.16